No. 1
This record from Materials Project describes crystalline Tb3Tm at its relaxed geometry. The functional is meta-GGA r2SCAN.

## Properties
formation enthalpy at 0 K: 0.041 eV/atom
excess energy over the best structure of this formula in the dataset: 2.7 meV per atom
calculated volume: 126.3 Å³/cell
crystal system: cubic

The structure in CIF format:
```
data_Tb3Tm
_cell_length_a 5.017
_cell_length_b 5.017
_cell_length_c 5.017
_cell_angle_alpha 90.00
_cell_angle_beta 90.00
_cell_angle_gamma 90.00
_space_group_name_H-M_alt 'P m -3 m'
_space_group_IT_number 221
_space_group_name_Hall '-P 4 2 3'
loop_
_atom_site_label
_atom_site_fract_x
_atom_site_fract_y
_atom_site_fract_z
Tb1 0.000 0.000 0.500
Tm1 0.500 0.500 0.500
```



No. 2
This record from Materials Project describes crystalline Tb3Tm at its relaxed geometry. The functional is meta-GGA r2SCAN.

## Properties
formation enthalpy at 0 K: 0.038 eV/atom
excess energy over the best structure of this formula in the dataset: 0.0 meV per atom
calculated volume: 252.2 Å³/cell
crystal system: tetragonal

The structure in CIF format:
```
data_Tb3Tm
_cell_length_a 5.013
_cell_length_b 5.013
_cell_length_c 10.035
_cell_angle_alpha 90.00
_cell_angle_beta 90.00
_cell_angle_gamma 90.00
_space_group_name_H-M_alt 'I 4/m m m'
_space_group_IT_number 139
_space_group_name_Hall '-I 4 2'
loop_
_atom_site_label
_atom_site_fract_x
_atom_site_fract_y
_atom_site_fract_z
Tb1 0.000 0.000 0.000
Tb2 0.000 0.500 0.250
Tm1 0.000 0.000 0.500
```



No. 3
This record from Materials Project describes crystalline Tb3Y at its relaxed geometry. The functional is meta-GGA r2SCAN.

## Properties
formation enthalpy at 0 K: 0.047 eV/atom
excess energy over the best structure of this formula in the dataset: 0.0 meV per atom
calculated volume: 258.6 Å³/cell
crystal system: tetragonal

The structure in CIF format:
```
data_Tb3Y
_cell_length_a 5.059
_cell_length_b 5.059
_cell_length_c 10.104
_cell_angle_alpha 90.00
_cell_angle_beta 90.00
_cell_angle_gamma 90.00
_space_group_name_H-M_alt 'I 4/m m m'
_space_group_IT_number 139
_space_group_name_Hall '-I 4 2'
loop_
_atom_site_label
_atom_site_fract_x
_atom_site_fract_y
_atom_site_fract_z
Tb1 0.000 0.000 0.000
Tb2 0.000 0.500 0.250
Y1 0.000 0.000 0.500
```



No. 4
This record from Materials Project describes crystalline Tb3Y at its relaxed geometry. The functional is meta-GGA r2SCAN.

## Properties
formation enthalpy at 0 K: 0.052 eV/atom
excess energy over the best structure of this formula in the dataset: 5.0 meV per atom
calculated volume: 129.5 Å³/cell
crystal system: cubic

The structure in CIF format:
```
data_Tb3Y
_cell_length_a 5.059
_cell_length_b 5.059
_cell_length_c 5.059
_cell_angle_alpha 90.00
_cell_angle_beta 90.00
_cell_angle_gamma 90.00
_space_group_name_H-M_alt 'P m -3 m'
_space_group_IT_number 221
_space_group_name_Hall '-P 4 2 3'
loop_
_atom_site_label
_atom_site_fract_x
_atom_site_fract_y
_atom_site_fract_z
Tb1 0.000 0.000 0.500
Y1 0.500 0.500 0.500
```



No. 5
This record from Materials Project describes crystalline Tb3Yb at its relaxed geometry. The functional is meta-GGA r2SCAN.

## Properties
formation enthalpy at 0 K: 0.036 eV/atom
calculated volume: 251.5 Å³/cell
crystal system: tetragonal

The structure in CIF format:
```
data_Tb3Yb
_cell_length_a 5.009
_cell_length_b 5.009
_cell_length_c 10.026
_cell_angle_alpha 90.00
_cell_angle_beta 90.00
_cell_angle_gamma 90.00
_space_group_name_H-M_alt 'I 4/m m m'
_space_group_IT_number 139
_space_group_name_Hall '-I 4 2'
loop_
_atom_site_label
_atom_site_fract_x
_atom_site_fract_y
_atom_site_fract_z
Tb1 0.000 0.000 0.000
Tb2 0.000 0.500 0.250
Yb1 0.000 0.000 0.500
```



No. 6
This record from Materials Project describes crystalline Tb2Zn17 at its relaxed geometry. The functional is meta-GGA r2SCAN.

## Properties
formation enthalpy at 0 K: -0.278 eV/atom
excess energy over the best structure of this formula in the dataset: 2.7 meV per atom
calculated volume: 588.8 Å³/cell
crystal system: hexagonal

The structure in CIF format:
```
data_Tb2Zn17
_cell_length_a 8.8582
_cell_length_b 8.8582
_cell_length_c 8.6645
_cell_angle_alpha 90.00
_cell_angle_beta 90.00
_cell_angle_gamma 120.00
_space_group_name_H-M_alt 'P 63/m m c'
_space_group_IT_number 194
_space_group_name_Hall '-P 6c 2c'
loop_
_atom_site_label
_atom_site_fract_x
_atom_site_fract_y
_atom_site_fract_z
Tb1 0.0000 0.0000 0.2500
Tb2 0.3333 0.6667 0.2500
Zn1 0.0000 0.5000 0.0000
Zn2 0.0403 0.3694 0.7500
Zn3 0.1621 0.3241 0.0203
Zn4 0.3333 0.6667 0.6024
```